#one
A plane-wave DFT calculation with PBE with a Hubbard U was carried out for an optimized crystal structure of LiNiP4O12.

abc: 7.281 7.281 10.082
angles: 66.72 66.72 70.23
Fractional coordinates of all 36 atoms:
P 0.231 0.752 0.479
P 0.191 0.204 0.305
P 0.796 0.809 0.195
P 0.752 0.231 0.979
P 0.248 0.769 0.021
P 0.809 0.796 0.695
P 0.769 0.248 0.521
P 0.204 0.191 0.805
O 0.999 0.718 0.564
O 0.309 0.152 0.655
O 0.619 0.776 0.681
O 0.848 0.691 0.845
O 0.343 0.587 0.405
O 0.718 0.999 0.064
O 0.312 0.780 0.584
O 0.808 0.034 0.651
O 0.034 0.808 0.151
O 0.152 0.309 0.155
O 0.688 0.220 0.416
O 0.657 0.413 0.595
O 0.966 0.192 0.849
O 0.780 0.312 0.084
O 0.776 0.619 0.181
O 0.001 0.282 0.436
O 0.224 0.381 0.819
O 0.220 0.688 0.916
O 0.587 0.343 0.905
O 0.413 0.657 0.095
O 0.381 0.224 0.319
O 0.691 0.848 0.345
O 0.282 0.001 0.936
O 0.192 0.966 0.349
Li 0.500 0.000 0.500
Li 0.000 0.500 0.000
Ni 0.555 0.445 0.250
Ni 0.445 0.555 0.750

Summary:
total moment = 6.0 μB per cell

=====

#two
A plane-wave DFT calculation with PBE with a Hubbard U was carried out for an optimized crystal structure of LiNiP4O12.

abc: 8.854 8.854 9.724
angles: 58.92 58.92 49.46
Fractional coordinates of all 36 atoms:
O 0.809 0.050 0.920
O 0.773 0.542 0.402
O 0.404 0.842 0.458
O 0.227 0.458 0.598
O 0.342 0.155 0.841
O 0.542 0.773 0.902
O 0.471 0.389 0.710
O 0.009 0.767 0.720
O 0.158 0.596 0.042
O 0.845 0.658 0.659
O 0.611 0.529 0.790
O 0.050 0.809 0.420
O 0.529 0.611 0.290
O 0.233 0.991 0.780
O 0.658 0.845 0.159
O 0.155 0.342 0.341
O 0.458 0.227 0.098
O 0.991 0.233 0.280
O 0.389 0.471 0.210
O 0.596 0.158 0.542
O 0.191 0.950 0.080
O 0.842 0.404 0.958
O 0.950 0.191 0.580
O 0.767 0.009 0.220
P 0.281 0.429 0.162
P 0.571 0.719 0.338
P 0.029 0.688 0.606
P 0.312 0.971 0.894
P 0.971 0.312 0.394
P 0.688 0.029 0.106
P 0.429 0.281 0.662
P 0.719 0.571 0.838
Ni 0.290 0.710 0.250
Ni 0.710 0.290 0.750
Li 0.169 0.831 0.750
Li 0.831 0.169 0.250

Summary:
total moment = 6.0 μB per cell

=====

Q: Which of them is the least stable? A: #two.

=====

#one
A plane-wave DFT calculation with PBE with a Hubbard U was carried out for an optimized crystal structure of Li2MnSi2O6.

abc: 5.198 7.621 7.620
angles: 90.92 110.38 69.59
Fractional coordinates of all 22 atoms:
O 0.622 0.583 0.790
O 0.831 0.278 0.636
O 0.125 0.167 0.404
O 0.185 0.701 0.354
O 0.665 0.980 0.220
O 0.376 0.404 0.167
O 0.365 0.993 0.750
O 0.315 0.354 0.701
O 0.669 0.636 0.278
O 0.878 0.790 0.583
O 0.135 0.750 0.993
O 0.835 0.220 0.980
Si 0.848 0.779 0.366
Si 0.160 0.195 0.619
Si 0.652 0.366 0.780
Si 0.340 0.619 0.195
Li 0.003 0.583 0.791
Li 0.250 0.793 0.793
Li 0.497 0.791 0.583
Li 0.750 0.228 0.228
Mn 0.750 0.963 0.963
Mn 0.250 0.186 0.186

=====

#two
A plane-wave DFT calculation with PBE with a Hubbard U was carried out for an optimized crystal structure of Li2MnSi2O6.

abc: 5.905 9.911 9.294
angles: 90.00 90.07 90.00
Fractional coordinates of all 44 atoms:
O 0.241 0.603 0.218
O 0.890 0.387 0.419
O 0.469 0.475 0.489
O 0.390 0.113 0.919
O 0.150 0.641 0.592
O 0.746 0.618 0.311
O 0.741 0.103 0.218
O 0.246 0.118 0.311
O 0.241 0.397 0.718
O 0.150 0.359 0.092
O 0.746 0.382 0.811
O 0.969 0.975 0.489
O 0.538 0.388 0.230
O 0.246 0.882 0.811
O 0.650 0.141 0.592
O 0.969 0.025 0.989
O 0.650 0.859 0.092
O 0.038 0.888 0.230
O 0.538 0.612 0.730
O 0.890 0.613 0.919
O 0.469 0.525 0.989
O 0.390 0.887 0.419
O 0.038 0.112 0.730
O 0.741 0.897 0.718
Si 0.166 0.969 0.366
Si 0.166 0.031 0.866
Si 0.666 0.531 0.866
Si 0.340 0.529 0.634
Si 0.340 0.471 0.134
Si 0.840 0.971 0.134
Si 0.840 0.029 0.634
Si 0.666 0.469 0.366
Li 0.941 0.674 0.132
Li 0.941 0.326 0.632
Li 0.441 0.174 0.132
Li 0.557 0.911 0.897
Li 0.441 0.826 0.632
Li 0.057 0.589 0.397
Li 0.557 0.089 0.397
Li 0.057 0.411 0.897
Mn 0.487 0.246 0.756
Mn 0.987 0.746 0.756
Mn 0.488 0.754 0.256
Mn 0.988 0.254 0.256

Summary:
total moment = 0.0 μB per cell

=====

Q: Which of them is the least stable? A: #one.

=====

#one
A plane-wave DFT calculation with PBE with a Hubbard U was carried out for an optimized crystal structure of NaMgMnO2.

abc: 8.412 8.412 8.412
angles: 22.03 22.03 22.03
Fractional coordinates of all 5 atoms:
Mn 0.966 0.966 0.966
Mg 0.096 0.096 0.096
Na 0.529 0.529 0.529
O 0.260 0.260 0.260
O 0.792 0.792 0.792

Summary:
total moment = 4.8 μB per cell

=====

#two
A plane-wave DFT calculation with PBE with a Hubbard U was carried out for an optimized crystal structure of NaMgMnO2.

abc: 3.002 5.732 6.422
angles: 67.22 62.99 62.54
Fractional coordinates of all 5 atoms:
O 0.732 0.053 0.724
O 0.275 0.944 0.271
Mg 0.501 0.005 0.495
Na 0.486 0.503 0.511
Mn 0.006 0.996 0.998

Summary:
total moment = 4.8 μB per cell

=====

Q: Which of them is the least stable? A: #two.

=====

#one
A plane-wave DFT calculation with PBE with a Hubbard U was carried out for an optimized crystal structure of VZnF5.

abc: 5.359 5.359 7.632
angles: 68.83 68.83 71.76
Fractional coordinates of all 14 atoms:
F 0.291 0.679 0.954
F 0.116 0.884 0.250
F 0.709 0.321 0.046
F 0.780 0.722 0.628
F 0.220 0.278 0.372
F 0.884 0.116 0.750
F 0.679 0.291 0.454
F 0.321 0.709 0.546
F 0.278 0.220 0.872
F 0.722 0.780 0.128
V 0.000 0.000 0.500
V 0.000 0.000 0.000
Zn 0.525 0.475 0.750
Zn 0.475 0.525 0.250

Summary:
total moment = 4.0 μB per cell

=====

#two
A plane-wave DFT calculation with PBE with a Hubbard U was carried out for an optimized crystal structure of VZnF5.

abc: 9.892 5.218 7.626
angles: 69.84 90.00 90.00
Fractional coordinates of all 28 atoms:
Zn 0.993 0.482 0.248
Zn 0.507 0.482 0.748
Zn 0.007 0.518 0.752
Zn 0.493 0.518 0.252
F 0.393 0.650 0.505
F 0.683 0.146 0.842
F 0.863 0.779 0.153
F 0.903 0.853 0.707
F 0.137 0.221 0.847
F 0.097 0.147 0.293
F 0.386 0.608 0.923
F 0.403 0.147 0.793
F 0.363 0.221 0.347
F 0.597 0.853 0.207
F 0.317 0.854 0.158
F 0.886 0.392 0.577
F 0.817 0.146 0.342
F 0.183 0.854 0.658
F 0.893 0.350 0.995
F 0.607 0.350 0.495
F 0.614 0.392 0.077
F 0.637 0.779 0.653
F 0.107 0.650 0.005
F 0.114 0.608 0.423
V 0.253 0.901 0.896
V 0.747 0.099 0.104
V 0.753 0.099 0.604
V 0.247 0.901 0.396

Summary:
total moment = 8.0 μB per cell

=====

Q: Which of them is the least stable? A: #two.